# Li6V3P8O29 | the Materials Project database | GGA+U | relaxed
# ΔE to the lowest computed polymorph	0.16	eV per formula unit
# total moment	0.065	μB/atom
# space-group type	C2, No. 5
# MP2020-corrected energy	-7.56	eV per atom
# DFT formation energy	-2.659	eV per atom
data_Li6V3P8O29
_chemical_formula_sum 'Li12 V6 P16 O58'
_cell_length_a 9.832
_cell_length_b 9.832
_cell_length_c 13.938
_cell_angle_alpha 89.90
_cell_angle_beta 89.90
_cell_angle_gamma 60.22
_symmetry_space_group_name_H-M 'P 1'
_symmetry_Int_Tables_number 1
_symmetry_space_group_name_Hall 'P 1'
loop_
_atom_site_label
_atom_site_fract_x
_atom_site_fract_y
_atom_site_fract_z
_atom_site_occupancy
O1 0.006 0.242 0.316 1
O2 0.669 0.668 0.768 1
O3 0.899 0.620 0.074 1
O4 0.660 0.673 0.271 1
O5 0.004 0.242 0.681 1
O6 0.080 0.668 0.407 1
O7 0.658 0.526 0.425 1
O8 0.619 0.479 0.075 1
O9 0.661 0.086 0.911 1
O10 0.788 0.212 0.000 1
O11 0.748 0.917 0.091 1
O12 0.514 0.674 0.914 1
O13 0.332 0.920 0.593 1
O14 0.333 0.183 0.582 1
O15 0.000 0.789 0.000 1
O16 0.114 0.374 0.425 1
O17 0.892 0.485 0.575 1
O18 0.001 0.757 0.819 1
O19 0.326 0.486 0.086 1
O20 0.474 0.342 0.575 1
O21 0.186 0.324 0.085 1
O22 0.000 0.758 0.182 1
O23 0.521 0.381 0.925 1
O24 0.626 0.886 0.575 1
O25 0.481 0.902 0.072 1
O26 0.814 0.513 0.914 1
O27 0.920 0.745 0.590 1
O28 0.515 0.108 0.425 1
O29 0.817 0.667 0.418 1
O30 0.338 0.746 0.089 1
O31 0.243 0.760 0.318 1
O32 0.242 0.000 0.818 1
O33 0.240 0.757 0.682 1
O34 0.787 0.998 0.501 1
O35 0.762 0.233 0.180 1
O36 0.002 0.213 0.499 1
O37 0.676 0.814 0.915 1
O38 0.083 0.252 0.909 1
O39 0.748 0.338 0.589 1
O40 0.179 0.485 0.581 1
O41 0.487 0.186 0.086 1
O42 0.758 0.994 0.684 1
O43 0.914 0.339 0.089 1
O44 0.380 0.101 0.926 1
O45 0.254 0.662 0.911 1
O46 0.211 0.000 0.000 1
O47 0.374 0.514 0.421 1
O48 0.662 0.252 0.411 1
O49 0.758 0.996 0.319 1
O50 0.327 0.340 0.729 1
O51 0.098 0.519 0.928 1
O52 0.332 0.331 0.232 1
O53 0.255 0.080 0.410 1
O54 0.217 0.783 0.500 1
O55 0.243 0.999 0.181 1
O56 0.515 0.821 0.419 1
O57 0.767 0.238 0.820 1
O58 0.486 0.626 0.579 1
V1 0.998 0.431 0.000 1
V2 0.569 0.002 0.000 1
V3 0.571 0.429 0.500 1
V4 0.435 0.000 0.501 1
V5 0.436 0.564 0.000 1
V6 0.000 0.565 0.499 1
Li1 0.775 0.914 0.812 1
Li2 0.907 0.316 0.810 1
Li3 0.226 0.682 0.187 1
Li4 0.320 0.908 0.309 1
Li5 0.665 0.663 0.634 1
Li6 0.337 0.335 0.366 1
Li7 0.092 0.680 0.691 1
Li8 0.684 0.093 0.190 1
Li9 0.226 0.096 0.691 1
Li10 0.086 0.225 0.188 1
Li11 0.318 0.774 0.813 1
Li12 0.904 0.774 0.309 1
P1 0.911 0.318 0.591 1
P2 0.771 0.909 0.594 1
P3 0.231 0.679 0.407 1
P4 0.091 0.229 0.406 1
P5 0.682 0.234 0.907 1
P6 0.233 0.089 0.908 1
P7 0.332 0.335 0.623 1
P8 0.665 0.668 0.377 1
P9 0.668 0.668 0.876 1
P10 0.682 0.089 0.409 1
P11 0.088 0.679 0.909 1
P12 0.911 0.767 0.092 1
P13 0.321 0.912 0.091 1
P14 0.332 0.332 0.124 1
P15 0.321 0.769 0.593 1
P16 0.766 0.318 0.093 1